No. 1
Here is a relaxed Na16Ti7Si8O40 crystal from the Materials Project database. Energies are from PBE.

a b c (Å): 10.600 10.600 10.978
angles (deg): 78.07 78.07 124.22
Element x y z (fractional)
Na 0.754 0.003 0.250
Na 0.271 0.509 0.248
Na 0.997 0.246 0.750
Na 0.491 0.729 0.752
Na 0.729 0.491 0.752
Na 0.246 0.997 0.750
Na 0.509 0.271 0.248
Na 0.003 0.754 0.250
Na 0.168 0.168 0.248
Na 0.675 0.675 0.241
Na 0.832 0.832 0.752
Na 0.325 0.325 0.759
Na 0.000 0.500 0.500
Na 0.500 0.000 0.500
Na 0.738 0.262 0.000
Na 0.262 0.738 0.000
Ti 0.854 0.359 0.255
Ti 0.359 0.854 0.255
Ti 0.641 0.146 0.745
Ti 0.146 0.641 0.745
Ti 0.722 0.722 0.524
Ti 0.278 0.278 0.476
Ti 0.000 0.000 0.000
Si 0.876 0.124 0.500
Si 0.377 0.623 0.500
Si 0.633 0.894 0.992
Si 0.106 0.367 0.008
Si 0.623 0.377 0.500
Si 0.124 0.876 0.500
Si 0.367 0.106 0.008
Si 0.894 0.633 0.992
O 0.208 0.388 0.104
O 0.762 0.913 0.061
O 0.612 0.792 0.896
O 0.087 0.238 0.939
O 0.078 0.226 0.444
O 0.580 0.728 0.430
O 0.774 0.922 0.556
O 0.272 0.420 0.570
O 0.238 0.087 0.939
O 0.792 0.612 0.896
O 0.913 0.762 0.061
O 0.388 0.208 0.104
O 0.420 0.272 0.570
O 0.922 0.774 0.556
O 0.728 0.580 0.430
O 0.226 0.078 0.444
O 0.029 0.530 0.255
O 0.530 0.029 0.255
O 0.470 0.971 0.745
O 0.971 0.470 0.745
O 0.705 0.079 0.891
O 0.200 0.549 0.887
O 0.921 0.295 0.109
O 0.451 0.800 0.113
O 0.832 0.184 0.618
O 0.340 0.692 0.613
O 0.816 0.168 0.382
O 0.308 0.660 0.387
O 0.800 0.451 0.113
O 0.295 0.921 0.109
O 0.549 0.200 0.887
O 0.079 0.705 0.891
O 0.660 0.308 0.387
O 0.168 0.816 0.382
O 0.692 0.340 0.613
O 0.184 0.832 0.618
O 0.422 0.422 0.315
O 0.968 0.968 0.186
O 0.578 0.578 0.685
O 0.032 0.032 0.814

Output
MP2020-corrected energy, eV per cell: -518.80
Spin magnetization, μB per formula unit: 4.0

=====

No. 2
Here is a relaxed Cs2NdAgI6 crystal from the Materials Project database. Energies are from PBE.

a b c (Å): 8.727 8.727 8.727
angles (deg): 60.00 60.00 60.00
Element x y z (fractional)
Cs 0.750 0.750 0.750
Cs 0.250 0.250 0.250
Nd 0.500 0.500 0.500
Ag 0.000 0.000 0.000
I 0.752 0.248 0.248
I 0.248 0.248 0.752
I 0.248 0.752 0.752
I 0.248 0.752 0.248
I 0.752 0.248 0.752
I 0.752 0.752 0.248

Output
MP2020-corrected energy, eV per cell: -33.20
Spin magnetization, μB per formula unit: 0.0

=====

No. 3
Here is a relaxed SiO2 crystal from the Materials Project database. Energies are from PBE.

a b c (Å): 8.793 8.793 8.793
angles (deg): 90.00 90.00 90.00
Element x y z (fractional)
Si 0.416 0.836 0.356
Si 0.164 0.644 0.416
Si 0.356 0.584 0.164
Si 0.836 0.356 0.416
Si 0.836 0.644 0.584
Si 0.584 0.164 0.356
Si 0.356 0.416 0.836
Si 0.584 0.836 0.644
Si 0.644 0.416 0.164
Si 0.164 0.356 0.584
Si 0.644 0.584 0.836
Si 0.416 0.164 0.644
O 0.500 0.000 0.335
O 0.500 0.000 0.665
O 0.817 0.416 0.238
O 0.248 0.500 0.500
O 0.762 0.817 0.584
O 0.584 0.238 0.183
O 0.416 0.762 0.183
O 0.238 0.183 0.584
O 0.000 0.665 0.500
O 0.752 0.500 0.500
O 0.500 0.752 0.500
O 0.000 0.335 0.500
O 0.817 0.584 0.762
O 0.416 0.238 0.817
O 0.500 0.500 0.248
O 0.183 0.416 0.762
O 0.183 0.584 0.238
O 0.665 0.500 0.000
O 0.762 0.183 0.416
O 0.335 0.500 0.000
O 0.500 0.500 0.752
O 0.584 0.762 0.817
O 0.500 0.248 0.500
O 0.238 0.817 0.416

Output
Largest piezoelectric modulus, C/m²: 0.01
MP2020-corrected energy, eV per cell: -293.45
Spin magnetization, μB per formula unit: 0.0

=====

> What is the spin magnetization in the third record?

0.0 μB per formula unit

=====

> Which value of MP2020-corrected energy does entry 2 give?

-33.20 eV per cell